# 1
# Nb5Ge2B (GGA-PBE, relaxed)
data_Nb5Ge2B
_cell_length_a 6.562
_cell_length_b 6.562
_cell_length_c 7.580
_cell_angle_alpha 115.65
_cell_angle_beta 115.65
_cell_angle_gamma 90.00
_symmetry_space_group_name_H-M 'P 1'
_symmetry_Int_Tables_number 1
_symmetry_space_group_name_Hall 'P 1'
loop_
_atom_site_label
_atom_site_type_symbol
_atom_site_fract_x
_atom_site_fract_y
_atom_site_fract_z
Nb1 Nb 0.825 0.325 0.316
Nb2 Nb 0.175 0.675 0.684
Nb3 Nb 0.491 0.991 0.316
Ge1 Ge 0.367 0.133 0.000
Nb4 Nb 0.325 0.491 0.316
Ge2 Ge 0.133 0.633 0.000
B1 B 0.250 0.250 0.500
Ge3 Ge 0.633 0.867 0.000
Nb5 Nb 0.991 0.825 0.316
Nb6 Nb 0.009 0.175 0.684
Nb7 Nb 0.675 0.509 0.684
B2 B 0.750 0.750 0.500
Nb8 Nb 0.509 0.009 0.684
Nb9 Nb 0.500 0.500 0.000
Nb10 Nb 0.000 0.000 0.000
Ge4 Ge 0.867 0.367 0.000
# Space group: I4/mcm, No. 140
# Theoretical density: 7986 kg/m³
# Energy of formation from the pure elements: -0.287 eV/atom

---

# 2
# MgMn2S4 (GGA-PBE, relaxed)
data_MgMn2S4
_cell_length_a 6.031
_cell_length_b 7.053
_cell_length_c 3.418
_cell_angle_alpha 90.00
_cell_angle_beta 90.00
_cell_angle_gamma 88.46
_symmetry_space_group_name_H-M 'P 1'
_symmetry_Int_Tables_number 1
_symmetry_space_group_name_Hall 'P 1'
loop_
_atom_site_label
_atom_site_type_symbol
_atom_site_fract_x
_atom_site_fract_y
_atom_site_fract_z
S1 S 0.822 0.153 0.500
S2 S 0.314 0.329 0.000
Mn1 Mn 0.077 0.055 0.000
Mn2 Mn 0.541 0.431 0.500
Mg1 Mg 0.622 0.855 0.500
S3 S 0.217 0.863 0.500
S4 S 0.726 0.610 0.000
# ΔE to the lowest computed polymorph: 0.071 eV/atom
# Space group: Pm, No. 6
# Theoretical density: 2998 kg/m³
# MP2020-corrected energy: -6.172 eV per atom
# Energy of formation from the pure elements: -0.962 eV/atom

---

Q: Among the records above, which one has the highest energy of formation from the pure elements?
A: Nb5Ge2B

---

Q: What is the formula in the second record?
A: MgMn2S4

---

Q: What is the theoretical density in the first record?
A: 7986 kg/m³